1.
Entry from the Materials Project database: a relaxed Ca2UO5 crystal (r²SCAN).

Cell: 5.4636 7.8834 11.4040 Å, 72.01 90.00 90.00°
With the nearest neighbours (Å) after each atom.
Fractional positions:
1 O 0.8300 0.4476 0.1729  1 U 2.10, 2 Ca 2.27-2.35
2 O 0.8189 0.2502 0.0038  2 U 2.19-2.22, 2 Ca 2.36-2.40
3 O 0.1915 0.3833 0.5704  1 U 1.97
4 O 0.7564 0.0185 0.3684  1 U 2.02
5 O 0.2564 0.9815 0.1316  1 U 2.02
6 O 0.7810 0.8797 0.1438  1 U 2.01
7 O 0.1700 0.5524 0.8271  1 U 2.10, 2 Ca 2.27-2.35
8 O 0.7190 0.8797 0.6438  1 U 2.01
9 O 0.8085 0.6167 0.4296  1 U 1.97
10 O 0.2190 0.1203 0.8562  1 U 2.01
11 O 0.2810 0.1203 0.3562  1 U 2.01
12 O 0.6811 0.2502 0.5038  2 U 2.19-2.22, 2 Ca 2.36-2.40
13 O 0.7436 0.0185 0.8684  1 U 2.02
14 O 0.3189 0.7498 0.4962  2 U 2.19-2.22, 2 Ca 2.36-2.40
15 O 0.6700 0.4476 0.6729  1 U 2.10, 2 Ca 2.27-2.35
16 O 0.1811 0.7498 0.9962  2 U 2.19-2.22, 2 Ca 2.36-2.40
17 O 0.2436 0.9815 0.6316  1 U 2.02
18 O 0.3085 0.3833 0.0704  1 U 1.97
19 O 0.6915 0.6167 0.9296  1 U 1.97
20 O 0.3300 0.5524 0.3271  1 U 2.10, 2 Ca 2.27-2.35
21 Ca 0.9939 0.6536 0.6374  4 O 2.27-2.36
22 Ca 0.5595 0.1540 0.1823  5 O 2.31-2.45
23 Ca 0.0595 0.8460 0.3177  5 O 2.31-2.45
24 Ca 0.4939 0.3464 0.8626  4 O 2.27-2.36
25 Ca 0.5061 0.6536 0.1374  4 O 2.27-2.36
26 Ca 0.9405 0.1540 0.6823  5 O 2.31-2.45
27 Ca 0.0061 0.3464 0.3626  4 O 2.27-2.36
28 Ca 0.4405 0.8460 0.8177  5 O 2.31-2.45
29 U 0.5000 0.0000 0.5000  6 O 2.01-2.22
30 U 0.0000 0.5000 0.0000  6 O 1.97-2.19
31 U 0.5000 0.5000 0.5000  6 O 1.97-2.19
32 U 0.0000 0.0000 0.0000  6 O 2.01-2.22

Summary:
* crystal system: monoclinic
* size of the total moment: 0.00 μB/f.u.
* E_tot: -18.941 eV/atom

2.
Entry from the Materials Project database: a relaxed CaV2O6 crystal (r²SCAN).

Cell: 3.6433 5.3462 7.1381 Å, 103.19 90.00 109.92°
With the nearest neighbours (Å) after each atom.
Fractional positions:
1 O 0.3567 0.7134 0.8769  1 V 1.69
2 O 0.0832 0.1664 0.7230  1 V 1.64
3 O 0.7502 0.5003 0.6022  3 V 1.90-1.99
4 O 0.6433 0.2866 0.1231  1 V 1.69
5 O 0.9168 0.8336 0.2770  1 V 1.64
6 O 0.2498 0.4997 0.3978  3 V 1.90-1.99
7 V 0.7673 0.5346 0.3305  2 O 1.64-1.69
8 V 0.2327 0.4654 0.6695  2 O 1.64-1.69
9 Ca 0.0000 0.0000 0.0000  6 O 2.33-2.36

Summary:
* crystal system: monoclinic
* size of the total moment: 0.00 μB/f.u.
* E_tot: -10.680 eV/atom

3.
Entry from the Materials Project database: a relaxed Ca2V3O8 crystal (r²SCAN).

Cell: 6.3744 6.3744 4.8845 Å, 71.64 71.64 57.88°
With the nearest neighbours (Å) after each atom.
Fractional positions:
1 V 0.2707 0.7293 0.0000  4 O 1.86-1.89
2 V 0.0000 0.0000 0.5000  6 O 1.85-1.98
3 V 0.7293 0.2707 0.0000  4 O 1.86-1.89
4 O 0.3229 0.8843 0.6120  2 V 1.86-1.98
5 O 0.6771 0.1157 0.3880  2 V 1.86-1.98
6 O 0.6045 0.6045 0.0401  2 V 1.89
7 O 0.0986 0.0986 0.1050  1 V 1.85
8 O 0.3955 0.3955 0.9599  2 V 1.89
9 O 0.8843 0.3229 0.6120  2 V 1.86-1.98
10 O 0.9014 0.9014 0.8950  1 V 1.85
11 O 0.1157 0.6771 0.3880  2 V 1.86-1.98
12 Ca 0.7249 0.7249 0.3395  6 O 2.30-2.42
13 Ca 0.2751 0.2751 0.6605  6 O 2.30-2.42

Summary:
* crystal system: monoclinic
* size of the total moment: 3.00 μB/f.u.
* E_tot: -10.925 eV/atom

4.
Entry from the Materials Project database: a relaxed Ca2V2O7 crystal (r²SCAN).

Cell: 6.6774 6.9598 7.0358 Å, 85.82 63.85 82.72°
With the nearest neighbours (Å) after each atom.
Fractional positions:
1 O 0.2461 0.2148 0.3294  1 V 1.67
2 O 0.7539 0.7852 0.6706  1 V 1.67
3 O 0.6552 0.4464 0.1032  1 V 1.71
4 O 0.8642 0.5061 0.3608  1 V 1.74
5 O 0.5375 0.9035 0.1302  2 V 1.86-1.87
6 O 0.3448 0.5536 0.8968  1 V 1.71
7 O 0.8893 0.1298 0.7378  1 V 1.69
8 O 0.6403 0.1798 0.4222  1 V 1.70
9 O 0.9511 0.8002 0.9370  1 V 1.75
10 O 0.1107 0.8702 0.2622  1 V 1.69
11 O 0.0489 0.1998 0.0630  1 V 1.75
12 O 0.1358 0.4939 0.6392  1 V 1.74
13 O 0.3597 0.8202 0.5778  1 V 1.70
14 O 0.4625 0.0965 0.8698  2 V 1.86-1.87
15 V 0.8024 0.3332 0.2336  4 O 1.70-1.75
16 V 0.7248 0.9486 0.8452  4 O 1.67-1.87
17 V 0.1976 0.6669 0.7664  4 O 1.70-1.75
18 V 0.2752 0.0514 0.1548  4 O 1.67-1.87
19 Ca 0.7436 0.8409 0.3298  7 O 2.32-2.51
20 Ca 0.2641 0.5524 0.2625  6 O 2.32-2.50
21 Ca 0.2564 0.1591 0.6702  7 O 2.32-2.51
22 Ca 0.7359 0.4476 0.7375  6 O 2.32-2.50

Summary:
* crystal system: triclinic
* size of the total moment: 0.00 μB/f.u.
* E_tot: -10.633 eV/atom

5.
Entry from the Materials Project database: a relaxed CaV2O5 crystal (r²SCAN).

Cell: 3.5729 4.9577 11.3332 Å, 90.00 90.00 90.00°
With the nearest neighbours (Å) after each atom.
Fractional positions:
1 O 0.2500 0.4668 0.9257  3 V 1.94-1.98
2 O 0.7500 0.4514 0.7500  2 V 1.91
3 O 0.7500 0.5332 0.4257  3 V 1.94-1.98
4 O 0.2500 0.5486 0.2500  2 V 1.91
5 O 0.2500 0.0577 0.3762  1 V 1.66
6 O 0.2500 0.0577 0.1238  1 V 1.66
7 O 0.7500 0.9423 0.6238  1 V 1.66
8 O 0.7500 0.5332 0.0743  3 V 1.94-1.98
9 O 0.7500 0.9423 0.8762  1 V 1.66
10 O 0.2500 0.4668 0.5743  3 V 1.94-1.98
11 V 0.7500 0.6124 0.5965  1 O 1.66
12 V 0.7500 0.6124 0.9035  1 O 1.66
13 V 0.2500 0.3876 0.0965  1 O 1.66
14 V 0.2500 0.3876 0.4035  1 O 1.66
15 Ca 0.7500 0.8502 0.2500  8 O 2.33-2.54
16 Ca 0.2500 0.1498 0.7500  8 O 2.33-2.54

Summary:
* crystal system: orthorhombic
* size of the total moment: 2.00 μB/f.u.
* E_tot: -11.023 eV/atom

6.
Entry from the Materials Project database: a relaxed Ca2WO5 crystal (r²SCAN).

Cell: 5.2988 7.4478 11.0957 Å, 70.89 90.00 90.00°
With the nearest neighbours (Å) after each atom.
Fractional positions:
1 O 0.7026 0.1144 0.3540  1 W 1.90
2 O 0.7282 0.9950 0.1122  1 W 1.90
3 O 0.6529 0.5563 0.3330  1 W 1.94
4 O 0.6919 0.3925 0.0720  1 W 1.88
5 O 0.1529 0.4437 0.1670  1 W 1.94
6 O 0.1287 0.2510 0.9999  2 W 1.98-1.99
7 O 0.3713 0.2510 0.4999  2 W 1.98-1.99
8 O 0.6287 0.7490 0.5001  2 W 1.98-1.99
9 O 0.7974 0.1144 0.8540  1 W 1.90
10 O 0.8471 0.5563 0.8330  1 W 1.94
11 O 0.2718 0.0050 0.8878  1 W 1.90
12 O 0.1919 0.6075 0.4280  1 W 1.88
13 O 0.8081 0.3925 0.5720  1 W 1.88
14 O 0.3471 0.4437 0.6670  1 W 1.94
15 O 0.2974 0.8856 0.6460  1 W 1.90
16 O 0.7718 0.9950 0.6122  1 W 1.90
17 O 0.2026 0.8856 0.1460  1 W 1.90
18 O 0.3081 0.6075 0.9280  1 W 1.88
19 O 0.2282 0.0050 0.3878  1 W 1.90
20 O 0.8713 0.7490 0.0001  2 W 1.98-1.99
21 Ca 0.5825 0.8457 0.8136  7 O 2.32-2.52
22 Ca 0.4175 0.1543 0.1864  7 O 2.32-2.52
23 Ca 0.0105 0.6595 0.6286  6 O 2.31-2.57
24 Ca 0.9895 0.3405 0.3714  6 O 2.31-2.57
25 Ca 0.0825 0.1543 0.6864  7 O 2.32-2.52
26 Ca 0.9175 0.8457 0.3136  7 O 2.32-2.52
27 Ca 0.5105 0.3405 0.8714  6 O 2.31-2.57
28 Ca 0.4895 0.6595 0.1286  6 O 2.31-2.57
29 W 0.0000 0.5000 0.0000  6 O 1.88-1.98
30 W 0.5000 0.5000 0.5000  6 O 1.88-1.98
31 W 0.0000 0.0000 0.0000  6 O 1.90-1.99
32 W 0.5000 0.0000 0.5000  6 O 1.90-1.99

Summary:
* crystal system: monoclinic
* size of the total moment: 0.00 μB/f.u.
* E_tot: -14.860 eV/atom

no.,energy of formation from the pure elements (meV/atom)
1,-3456
2,-2785
3,-2915
4,-2991
5,-2888
6,-2947